[1]
# PBE+U Li9V6P16O58, relaxed
data_Li9V6P16O58
_chemical_formula_sum 'Li9 V6 P16 O58'
_cell_length_a 9.771
_cell_length_b 9.804
_cell_length_c 14.110
_cell_angle_alpha 90.00
_cell_angle_beta 90.15
_cell_angle_gamma 119.87
_symmetry_space_group_name_H-M 'P 1'
_symmetry_Int_Tables_number 1
loop_
_symmetry_equiv_pos_as_xyz
'x,y,z'
loop_
_atom_site_label
_atom_site_type_symbol
_atom_site_fract_x
_atom_site_fract_y
_atom_site_fract_z
_atom_site_occupancy
Li1 Li 0.000 0.000 0.000 1
Li2 Li 0.000 0.419 0.494 1
Li3 Li 0.143 0.566 0.000 1
Li4 Li 0.144 0.007 0.495 1
Li5 Li 0.241 0.333 0.421 1
Li6 Li 0.552 0.422 0.000 1
Li7 Li 0.554 0.564 0.497 1
Li8 Li 0.897 0.664 0.320 1
Li9 Li 0.923 0.246 0.880 1
V1 V 0.233 0.897 0.687 1
V2 V 0.242 0.768 0.189 1
V3 V 0.661 0.328 0.188 1
V4 V 0.668 0.767 0.687 1
V5 V 0.799 0.334 0.684 1
V6 V 0.800 0.901 0.188 1
P1 P 0.004 0.013 0.779 1
P2 P 0.011 0.424 0.280 1
P3 P 0.145 0.017 0.281 1
P4 P 0.146 0.563 0.782 1
P5 P 0.316 0.103 0.097 1
P6 P 0.317 0.640 0.599 1
P7 P 0.454 0.246 0.598 1
P8 P 0.463 0.645 0.098 1
P9 P 0.549 0.558 0.282 1
P10 P 0.553 0.421 0.780 1
P11 P 0.569 0.003 0.309 1
P12 P 0.569 0.999 0.804 1
P13 P 0.902 0.668 0.562 1
P14 P 0.903 0.665 0.065 1
P15 P 0.916 0.246 0.097 1
P16 P 0.924 0.107 0.597 1
O1 O 0.020 0.130 0.695 1
O2 O 0.026 0.116 0.516 1
O3 O 0.026 0.333 0.188 1
O4 O 0.027 0.349 0.369 1
O5 O 0.048 0.822 0.604 1
O6 O 0.051 0.664 0.111 1
O7 O 0.133 0.712 0.756 1
O8 O 0.133 0.853 0.268 1
O9 O 0.147 0.989 0.770 1
O10 O 0.156 0.593 0.270 1
O11 O 0.218 0.100 0.372 1
O12 O 0.220 0.094 0.013 1
O13 O 0.223 0.580 0.875 1
O14 O 0.225 0.538 0.518 1
O15 O 0.241 0.127 0.194 1
O16 O 0.249 0.549 0.698 1
O17 O 0.312 0.073 0.600 1
O18 O 0.316 0.797 0.609 1
O19 O 0.317 0.671 0.098 1
O20 O 0.323 0.950 0.116 1
O21 O 0.417 0.851 0.260 1
O22 O 0.418 0.992 0.757 1
O23 O 0.433 0.318 0.697 1
O24 O 0.435 0.336 0.518 1
O25 O 0.437 0.547 0.196 1
O26 O 0.462 0.544 0.373 1
O27 O 0.463 0.553 0.015 1
O28 O 0.484 0.247 0.096 1
O29 O 0.491 0.674 0.597 1
O30 O 0.492 0.352 0.873 1
O31 O 0.553 0.987 0.413 1
O32 O 0.559 0.142 0.265 1
O33 O 0.562 0.988 0.909 1
O34 O 0.573 0.853 0.756 1
O35 O 0.574 0.415 0.270 1
O36 O 0.578 0.589 0.763 1
O37 O 0.610 0.245 0.605 1
O38 O 0.615 0.804 0.114 1
O39 O 0.712 0.706 0.271 1
O40 O 0.713 0.001 0.264 1
O41 O 0.715 0.432 0.756 1
O42 O 0.719 0.148 0.767 1
O43 O 0.747 0.661 0.601 1
O44 O 0.749 0.518 0.104 1
O45 O 0.757 0.238 0.116 1
O46 O 0.768 0.949 0.608 1
O47 O 0.852 0.852 0.758 1
O48 O 0.861 0.437 0.270 1
O49 O 0.892 0.247 0.597 1
O50 O 0.898 0.081 0.096 1
O51 O 0.905 0.676 0.456 1
O52 O 0.906 0.818 0.103 1
O53 O 0.911 0.522 0.598 1
O54 O 0.914 0.664 0.959 1
O55 O 0.974 0.987 0.270 1
O56 O 0.981 0.414 0.774 1
O57 O 0.989 0.082 0.871 1
O58 O 0.994 0.336 0.008 1
# Energy relative to the elements in eV per atom: -2.5937
# Spin magnetization in μB per cell: 3.00
# Distance to the lowest polymorph of the same formula in meV per atom: 0.0
# Energy in eV/atom: -7.03

[2]
# PBE+U MgMn6O8F4, relaxed
data_MgMn6O8F4
_chemical_formula_sum 'Mg1 Mn6 O8 F4'
_cell_length_a 5.341
_cell_length_b 5.342
_cell_length_c 9.071
_cell_angle_alpha 89.66
_cell_angle_beta 89.66
_cell_angle_gamma 72.91
_symmetry_space_group_name_H-M 'P 1'
_symmetry_Int_Tables_number 1
loop_
_symmetry_equiv_pos_as_xyz
'x,y,z'
loop_
_atom_site_label
_atom_site_type_symbol
_atom_site_fract_x
_atom_site_fract_y
_atom_site_fract_z
_atom_site_occupancy
Mg1 Mg 0.000 0.000 0.000 1
Mn1 Mn 0.188 0.189 0.509 1
Mn2 Mn 0.257 0.259 0.185 1
Mn3 Mn 0.261 0.263 0.830 1
Mn4 Mn 0.669 0.670 0.002 1
Mn5 Mn 0.730 0.732 0.674 1
Mn6 Mn 0.740 0.742 0.357 1
O1 O 0.023 0.410 0.675 1
O2 O 0.032 0.422 0.343 1
O3 O 0.377 0.001 0.012 1
O4 O 0.409 0.026 0.675 1
O5 O 0.421 0.034 0.343 1
O6 O 0.602 0.605 0.509 1
O7 O 0.833 0.834 0.864 1
O8 O 0.999 0.378 0.012 1
F1 F 0.498 0.502 0.841 1
F2 F 0.506 0.509 0.155 1
F3 F 0.875 0.876 0.174 1
F4 F 0.929 0.930 0.512 1
# Energy relative to the elements in eV per atom: -2.2250
# Spin magnetization in μB per cell: 24.00
# Distance to the lowest polymorph of the same formula in meV per atom: 88.3
# Energy in eV/atom: -6.78

[3]
# PBE+U AlCuW2O8, relaxed
data_AlCuW2O8
_chemical_formula_sum 'Al2 Cu2 W4 O16'
_cell_length_a 5.022
_cell_length_b 5.679
_cell_length_c 10.383
_cell_angle_alpha 90.00
_cell_angle_beta 118.16
_cell_angle_gamma 90.00
_symmetry_space_group_name_H-M 'P 1'
_symmetry_Int_Tables_number 1
loop_
_symmetry_equiv_pos_as_xyz
'x,y,z'
loop_
_atom_site_label
_atom_site_type_symbol
_atom_site_fract_x
_atom_site_fract_y
_atom_site_fract_z
_atom_site_occupancy
Al1 Al 0.000 0.162 0.250 1
Al2 Al 0.000 0.838 0.750 1
Cu1 Cu 0.500 0.154 0.750 1
Cu2 Cu 0.500 0.846 0.250 1
W1 W 0.240 0.327 0.997 1
W2 W 0.240 0.673 0.497 1
W3 W 0.760 0.327 0.503 1
W4 W 0.760 0.673 0.003 1
O1 O 0.181 0.387 0.614 1
O2 O 0.181 0.613 0.114 1
O3 O 0.210 0.147 0.140 1
O4 O 0.210 0.853 0.640 1
O5 O 0.249 0.096 0.873 1
O6 O 0.249 0.904 0.373 1
O7 O 0.307 0.385 0.389 1
O8 O 0.307 0.615 0.889 1
O9 O 0.693 0.385 0.111 1
O10 O 0.693 0.615 0.611 1
O11 O 0.751 0.096 0.627 1
O12 O 0.751 0.904 0.127 1
O13 O 0.790 0.147 0.360 1
O14 O 0.790 0.853 0.860 1
O15 O 0.819 0.387 0.886 1
O16 O 0.819 0.613 0.386 1
# Energy relative to the elements in eV per atom: -2.1788
# Spin magnetization in μB per cell: 0.00
# Distance to the lowest polymorph of the same formula in meV per atom: 0.0
# Energy in eV/atom: -7.09

[4]
# PBE+U Li5Fe5Sb2O12, relaxed
data_Li5Fe5Sb2O12
_chemical_formula_sum 'Li5 Fe5 Sb2 O12'
_cell_length_a 5.355
_cell_length_b 5.355
_cell_length_c 10.266
_cell_angle_alpha 95.76
_cell_angle_beta 95.76
_cell_angle_gamma 119.75
_symmetry_space_group_name_H-M 'P 1'
_symmetry_Int_Tables_number 1
loop_
_symmetry_equiv_pos_as_xyz
'x,y,z'
loop_
_atom_site_label
_atom_site_type_symbol
_atom_site_fract_x
_atom_site_fract_y
_atom_site_fract_z
_atom_site_occupancy
Li1 Li 0.000 0.000 0.000 1
Li2 Li 0.240 0.244 0.756 1
Li3 Li 0.410 0.088 0.245 1
Li4 Li 0.756 0.760 0.244 1
Li5 Li 0.912 0.590 0.755 1
Fe1 Fe 0.087 0.421 0.246 1
Fe2 Fe 0.164 0.836 0.500 1
Fe3 Fe 0.499 0.501 0.500 1
Fe4 Fe 0.579 0.913 0.754 1
Fe5 Fe 0.667 0.333 0.000 1
Sb1 Sb 0.331 0.669 0.000 1
Sb2 Sb 0.832 0.168 0.500 1
O1 O 0.065 0.709 0.116 1
O2 O 0.132 0.145 0.377 1
O3 O 0.196 0.533 0.622 1
O4 O 0.291 0.935 0.884 1
O5 O 0.374 0.405 0.118 1
O6 O 0.467 0.804 0.378 1
O7 O 0.535 0.187 0.625 1
O8 O 0.595 0.626 0.882 1
O9 O 0.682 0.027 0.115 1
O10 O 0.813 0.465 0.375 1
O11 O 0.855 0.868 0.623 1
O12 O 0.973 0.318 0.885 1
# Energy relative to the elements in eV per atom: -1.8359
# Spin magnetization in μB per cell: 19.21
# Energy in eV/atom: -6.00

[5]
# PBE+U MnP2O7, relaxed
data_MnP2O7
_chemical_formula_sum 'Mn4 P8 O28'
_cell_length_a 6.205
_cell_length_b 6.205
_cell_length_c 13.155
_cell_angle_alpha 105.07
_cell_angle_beta 105.07
_cell_angle_gamma 80.66
_symmetry_space_group_name_H-M 'P 1'
_symmetry_Int_Tables_number 1
loop_
_symmetry_equiv_pos_as_xyz
'x,y,z'
loop_
_atom_site_label
_atom_site_type_symbol
_atom_site_fract_x
_atom_site_fract_y
_atom_site_fract_z
_atom_site_occupancy
Mn1 Mn 0.090 0.621 0.857 1
Mn2 Mn 0.379 0.910 0.643 1
Mn3 Mn 0.621 0.090 0.357 1
Mn4 Mn 0.910 0.379 0.143 1
P1 P 0.086 0.166 0.930 1
P2 P 0.166 0.086 0.430 1
P3 P 0.250 0.417 0.636 1
P4 P 0.417 0.250 0.136 1
P5 P 0.583 0.750 0.864 1
P6 P 0.750 0.583 0.364 1
P7 P 0.834 0.914 0.570 1
P8 P 0.914 0.834 0.070 1
O1 O 0.028 0.939 0.855 1
O2 O 0.061 0.972 0.645 1
O3 O 0.074 0.526 0.702 1
O4 O 0.099 0.712 0.010 1
O5 O 0.107 0.305 0.519 1
O6 O 0.145 0.309 0.865 1
O7 O 0.226 0.413 0.176 1
O8 O 0.288 0.901 0.490 1
O9 O 0.305 0.107 0.019 1
O10 O 0.309 0.145 0.365 1
O11 O 0.383 0.587 0.619 1
O12 O 0.413 0.226 0.676 1
O13 O 0.413 0.617 0.881 1
O14 O 0.474 0.926 0.798 1
O15 O 0.526 0.074 0.202 1
O16 O 0.587 0.383 0.119 1
O17 O 0.587 0.774 0.324 1
O18 O 0.617 0.413 0.381 1
O19 O 0.691 0.855 0.635 1
O20 O 0.695 0.893 0.981 1
O21 O 0.712 0.099 0.510 1
O22 O 0.774 0.587 0.824 1
O23 O 0.855 0.691 0.135 1
O24 O 0.893 0.695 0.481 1
O25 O 0.901 0.288 0.990 1
O26 O 0.926 0.474 0.298 1
O27 O 0.939 0.028 0.355 1
O28 O 0.972 0.061 0.145 1
# Energy relative to the elements in eV per atom: -2.3533
# Spin magnetization in μB per cell: 12.00
# Distance to the lowest polymorph of the same formula in meV per atom: 30.6
# Energy in eV/atom: -7.17

[6]
# PBE+U Li4Mn3V3Fe2O16, relaxed
data_Li4Mn3V3Fe2O16
_chemical_formula_sum 'Li4 Mn3 V3 Fe2 O16'
_cell_length_a 5.915
_cell_length_b 5.915
_cell_length_c 9.613
_cell_angle_alpha 89.12
_cell_angle_beta 88.28
_cell_angle_gamma 60.24
_symmetry_space_group_name_H-M 'P 1'
_symmetry_Int_Tables_number 1
loop_
_symmetry_equiv_pos_as_xyz
'x,y,z'
loop_
_atom_site_label
_atom_site_type_symbol
_atom_site_fract_x
_atom_site_fract_y
_atom_site_fract_z
_atom_site_occupancy
Li1 Li 0.000 0.000 0.000 1
Li2 Li 0.005 0.978 0.499 1
Li3 Li 0.335 0.324 0.600 1
Li4 Li 0.665 0.662 0.100 1
Mn1 Mn 0.171 0.648 0.279 1
Mn2 Mn 0.665 0.155 0.282 1
Mn3 Mn 0.832 0.824 0.783 1
V1 V 0.176 0.150 0.279 1
V2 V 0.338 0.830 0.779 1
V3 V 0.830 0.333 0.780 1
Fe1 Fe 0.328 0.337 0.005 1
Fe2 Fe 0.671 0.646 0.503 1
O1 O 0.035 0.481 0.162 1
O2 O 0.162 0.166 0.890 1
O3 O 0.181 0.674 0.896 1
O4 O 0.329 0.816 0.388 1
O5 O 0.337 0.325 0.384 1
O6 O 0.453 0.031 0.152 1
O7 O 0.475 0.477 0.155 1
O8 O 0.502 0.951 0.652 1
O9 O 0.518 0.509 0.659 1
O10 O 0.665 0.666 0.888 1
O11 O 0.676 0.174 0.897 1
O12 O 0.847 0.816 0.398 1
O13 O 0.869 0.309 0.396 1
O14 O 0.962 0.494 0.658 1
O15 O 0.998 0.988 0.686 1
O16 O 0.999 0.982 0.187 1
# Energy relative to the elements in eV per atom: -2.1718
# Spin magnetization in μB per cell: 24.00
# Energy in eV/atom: -6.92